Entry P
The following is a DFT calculation (PBE) of a relaxed structure of Ca2CrN3.

Structure (POSCAR):
```
Ca2CrN3
1.0
-4.9261 2.6092 1.9594
4.8533 -0.8758 3.2547
4.1400 10.3590 -3.3860
Ca Cr N
8 4 12
Direct
0.5498 0.4502 0.6416
0.4502 0.5498 0.3584
0.9502 0.0498 0.1416
0.0498 0.9502 0.8584
0.8582 0.1418 0.5797
0.1418 0.8582 0.4203
0.6418 0.3582 0.0797
0.3582 0.6418 0.9203
0.7450 0.2550 0.8394
0.2550 0.7450 0.1606
0.7550 0.2450 0.3394
0.2450 0.7550 0.6606
0.8444 0.1556 0.9628
0.1556 0.8444 0.0372
0.6556 0.3444 0.4628
0.3444 0.6556 0.5372
0.5813 0.4187 0.8670
0.4187 0.5813 0.1330
0.9187 0.0813 0.3670
0.0813 0.9187 0.6330
0.5378 0.9622 0.7500
0.9622 0.5378 0.2500
0.4622 0.0378 0.2500
0.0378 0.4622 0.7500
```

Entry Q
The following is a DFT calculation (PBE) of a relaxed structure of Ca2CrN3.

Structure (POSCAR):
```
Ca2CrN3
1.0
1.6966 5.9570 2.4487
-6.5377 -0.6696 1.0819
0.9391 -2.0730 4.3923
Ca Cr N
4 2 6
Direct
0.8862 0.1138 0.0000
0.3978 0.1941 0.0000
0.1001 0.8999 0.5000
0.8059 0.6022 0.0000
0.2996 0.7004 0.0000
0.7147 0.2853 0.5000
0.1938 0.4411 0.0000
0.8757 0.1243 0.5000
0.1291 0.8709 0.0000
0.4484 0.1753 0.5000
0.8247 0.5516 0.5000
0.5589 0.8062 0.0000
```

Which of them is most stable? Easy: entry P.

Entry P
The following is a DFT calculation (PBE) of a relaxed structure of CaCr2S4.

Structure (POSCAR):
```
CaCr2S4
1.0
0.0000 5.2779 5.2779
5.2779 0.0000 5.2779
5.2779 5.2779 0.0000
Ca Cr S
2 4 8
Direct
0.5000 0.5000 0.5000
0.7500 0.7500 0.7500
0.1250 0.1250 0.1250
0.6250 0.1250 0.1250
0.1250 0.6250 0.1250
0.1250 0.1250 0.6250
0.3557 0.3557 0.3557
0.3170 0.8943 0.8943
0.8943 0.8943 0.3170
0.8943 0.3170 0.8943
0.3557 0.3557 0.9330
0.3557 0.9330 0.3557
0.8943 0.8943 0.8943
0.9330 0.3557 0.3557
```

Entry Q
The following is a DFT calculation (PBE) of a relaxed structure of CaCr2S4.

Structure (POSCAR):
```
CaCr2S4
1.0
-3.6620 3.7323 5.2027
3.6620 -3.7323 5.2027
3.6620 3.7323 -5.2027
Ca Cr S
2 4 8
Direct
0.5000 0.5000 0.0000
0.0000 0.5000 0.5000
0.8775 0.1275 0.7500
0.1225 0.8725 0.2500
0.5000 0.5000 0.5000
0.5000 0.0000 0.0000
0.2878 0.7632 0.5246
0.7386 0.7632 0.9754
0.2660 0.7834 0.0175
0.7122 0.2368 0.4754
0.7340 0.7515 0.5175
0.2614 0.2368 0.0246
0.2660 0.2485 0.4825
0.7340 0.2166 0.9825
```

Entry R
The following is a DFT calculation (PBE) of a relaxed structure of CaCr2S4.

Structure (POSCAR):
```
CaCr2S4
1.0
-0.8010 -7.0550 1.6711
5.7032 0.5826 4.5101
-5.7397 4.4347 0.7725
Ca Cr S
2 4 8
Direct
0.0000 0.0000 0.0000
0.5000 0.0000 0.5000
0.0000 0.5000 0.0000
0.0000 0.5000 0.5000
0.0000 0.0000 0.5000
0.5000 0.5000 0.0000
0.2352 0.2655 0.9697
0.2386 0.7073 0.9687
0.7958 0.2655 0.5303
0.7614 0.7301 0.4687
0.2042 0.7345 0.4697
0.7614 0.2927 0.0313
0.2386 0.2699 0.5313
0.7648 0.7345 0.0303
```

Which of them is most stable? Easy: entry P.

Entry P
The following is a DFT calculation (PBE) of a relaxed structure of CaCr4S8.

Structure (POSCAR):
```
CaCr4S8
1.0
1.0976 0.7297 6.9528
-5.5180 1.4002 4.2036
-2.3307 -5.0485 4.3773
Ca Cr S
1 4 8
Direct
0.0000 0.0000 0.0000
0.5000 0.5000 0.5000
0.5000 0.5000 0.0000
0.5000 0.0000 0.5000
0.0000 0.5000 0.5000
0.7340 0.2875 0.7340
0.7340 0.7340 0.2875
0.2875 0.7340 0.7340
0.7377 0.7377 0.7377
0.2623 0.2623 0.2623
0.2660 0.2660 0.7125
0.7125 0.2660 0.2660
0.2660 0.7125 0.2660
```

Entry Q
The following is a DFT calculation (PBE) of a relaxed structure of CaCr4S8.

Structure (POSCAR):
```
CaCr4S8
1.0
-3.9989 6.5956 0.0537
-5.6092 1.9981 4.9030
0.2577 5.5515 5.3488
Ca Cr S
1 4 8
Direct
0.5000 0.5000 0.5000
0.0000 0.5000 0.5000
0.5000 0.0000 0.5000
0.5000 0.5000 0.0000
0.0000 0.0000 0.0000
0.2623 0.7684 0.7684
0.2316 0.2316 0.7377
0.7377 0.2316 0.2316
0.2316 0.7377 0.2316
0.2674 0.2674 0.2674
0.7326 0.7326 0.7326
0.7684 0.2623 0.7684
0.7684 0.7684 0.2623
```

Which of them is most stable? Easy: entry Q.

Entry P
The following is a DFT calculation (PBE) of a relaxed structure of CsCaMg6.

Structure (POSCAR):
```
CsCaMg6
1.0
5.5453 0.0000 0.0000
0.0000 7.1264 0.0000
0.0000 0.0000 12.4181
Cs Ca Mg
2 2 12
Direct
0.5000 0.5000 0.1606
0.5000 0.0000 0.6606
0.0000 0.5000 0.3453
0.0000 0.0000 0.8453
0.0000 0.7782 0.0805
0.0000 0.2218 0.0805
0.0000 0.0000 0.3328
0.5000 0.2477 0.4170
0.5000 0.7523 0.4170
0.5000 0.0000 0.1664
0.0000 0.2782 0.5805
0.0000 0.7218 0.5805
0.0000 0.5000 0.8328
0.5000 0.7477 0.9170
0.5000 0.2523 0.9170
0.5000 0.5000 0.6664
```

Entry Q
The following is a DFT calculation (PBE) of a relaxed structure of CsCaMg6.

Structure (POSCAR):
```
CsCaMg6
1.0
-1.4996 -0.0440 -5.0406
-6.5131 -2.0573 1.9557
-3.7797 12.9277 1.0116
Cs Ca Mg
2 2 12
Direct
0.5000 0.5000 0.1819
0.5000 0.0000 0.6819
0.5000 0.0000 0.1659
0.5000 0.5000 0.6659
0.5000 0.2388 0.4234
0.5000 0.7612 0.4234
0.0000 0.7677 0.0469
0.0000 0.2323 0.0469
0.0000 0.0000 0.3495
0.0000 0.5000 0.3621
0.5000 0.7388 0.9234
0.5000 0.2612 0.9234
0.0000 0.2677 0.5469
0.0000 0.7323 0.5469
0.0000 0.5000 0.8495
0.0000 0.0000 0.8621
```

Which of them is most stable? Easy: entry Q.

Entry P
The following is a DFT calculation (PBE) of a relaxed structure of CaNb2Ga2Cu3O12.

Structure (POSCAR):
```
CaNb2Ga2Cu3O12
1.0
-3.8262 -6.2339 -1.9225
5.9835 -4.2415 1.8452
-2.5992 -0.5875 7.0779
Ca Nb Ga Cu O
2 4 4 6 24
Direct
0.0000 0.0000 0.0000
0.5000 0.5000 0.5000
0.2500 0.7500 0.2500
0.7500 0.7500 0.7500
0.2500 0.2500 0.7500
0.7500 0.2500 0.2500
0.7500 0.7500 0.2500
0.2500 0.7500 0.7500
0.7500 0.2500 0.7500
0.2500 0.2500 0.2500
0.5000 0.0000 0.0000
0.0000 0.0000 0.5000
0.5000 0.5000 0.0000
0.0000 0.5000 0.5000
0.0000 0.5000 0.0000
0.5000 0.0000 0.5000
0.6961 0.9991 0.1750
0.3250 0.8039 0.5009
0.6750 0.8039 0.4991
0.9991 0.8250 0.3039
0.6961 0.0009 0.8250
0.4991 0.6750 0.8039
0.0009 0.8250 0.6961
0.8039 0.4991 0.6750
0.5009 0.6750 0.1961
0.8250 0.6961 0.0009
0.1961 0.5009 0.6750
0.1750 0.6961 0.9991
0.8250 0.3039 0.9991
0.8039 0.5009 0.3250
0.1750 0.3039 0.0009
0.5009 0.3250 0.8039
0.1961 0.4991 0.3250
0.0009 0.1750 0.3039
0.4991 0.3250 0.1961
0.3039 0.0009 0.1750
0.9991 0.1750 0.6961
0.3250 0.1961 0.4991
0.6750 0.1961 0.5009
0.3039 0.9991 0.8250
```

Entry Q
The following is a DFT calculation (PBE) of a relaxed structure of CaNb2Ga2Cu3O12.

Structure (POSCAR):
```
CaNb2Ga2Cu3O12
1.0
-0.1547 -3.7252 5.3806
3.0866 3.1014 4.8689
-3.1678 1.9967 6.5718
Ca Nb Ga Cu O
1 2 2 3 12
Direct
0.0000 0.0000 0.0000
0.5000 0.0000 0.5000
0.0000 0.5000 0.5000
0.0000 0.5000 0.0000
0.5000 0.0000 0.0000
0.5000 0.5000 0.0000
0.5000 0.5000 0.5000
0.0000 0.0000 0.5000
0.8269 0.8269 0.8686
0.1731 0.1731 0.1314
0.8262 0.8262 0.4777
0.1738 0.1738 0.5223
0.6926 0.3024 0.1762
0.3074 0.6976 0.8238
0.3024 0.6926 0.1762
0.6976 0.3074 0.8238
0.4789 0.1306 0.6944
0.5211 0.8694 0.3056
0.8694 0.5211 0.3056
0.1306 0.4789 0.6944
```

Which of them is most stable? Easy: entry P.

Entry P
The following is a DFT calculation (PBE) of a relaxed structure of CaMg14Cu.

Structure (POSCAR):
```
CaMg14Cu
1.0
-2.9388 -2.6406 5.0659
6.3366 -0.7214 -0.7736
1.6449 8.6120 5.4432
Ca Mg Cu
1 14 1
Direct
0.1667 0.3333 0.1250
0.1764 0.8382 0.1250
0.1618 0.8309 0.6250
0.6618 0.3236 0.1250
0.6691 0.3382 0.6250
0.6618 0.8382 0.1250
0.6691 0.8309 0.6250
0.3308 0.1692 0.3925
0.3308 0.1692 0.8575
0.3308 0.6616 0.3925
0.3308 0.6616 0.8575
0.8384 0.1692 0.3925
0.8384 0.1692 0.8575
0.8333 0.6667 0.3686
0.8333 0.6667 0.8814
0.1667 0.3333 0.6250
```

Entry Q
The following is a DFT calculation (PBE) of a relaxed structure of CaMg14Cu.

Structure (POSCAR):
```
CaMg14Cu
1.0
6.4288 0.0504 0.0000
-3.1708 5.4919 0.0000
0.0000 0.0000 10.3408
Ca Mg Cu
1 14 1
Direct
0.1560 0.3280 0.1250
0.1682 0.3341 0.6250
0.1640 0.8320 0.6250
0.6523 0.3136 0.1250
0.6652 0.3358 0.6250
0.6523 0.8387 0.1250
0.6652 0.8294 0.6250
0.3356 0.1607 0.3766
0.3356 0.1607 0.8734
0.3356 0.6749 0.3766
0.3356 0.6749 0.8734
0.8313 0.1657 0.3856
0.8313 0.1657 0.8644
0.8468 0.6734 0.3562
0.8468 0.6734 0.8938
0.1782 0.8391 0.1250
```

Which of them is most stable? Easy: entry Q.